Record 1
Material: TmLuMg2
Method: DFT, GGA-PBE
State: relaxed

Cell and atoms, written as POSCAR:
```
TmLuMg2
1.0
3.5454 -3.3310 -2.0897
-0.4046 -5.2021 0.8985
-1.4218 -3.2611 -3.9213
Mg Lu Tm
2 1 1
Direct
0.7500 0.7500 0.7500
0.2500 0.2500 0.2500
0.5000 0.5000 0.5000
0.0000 0.0000 0.0000
```

=====

Record 2
Material: LuMgZn2
Method: DFT, GGA-PBE
State: relaxed

Cell and atoms, written as POSCAR:
```
LuMgZn2
1.0
2.5183 -2.5439 3.1724
-1.1895 0.1020 4.6317
-1.9433 -3.8569 2.0556
Zn Lu Mg
2 1 1
Direct
0.2500 0.2500 0.2500
0.7500 0.7500 0.7500
0.5000 0.5000 0.5000
0.0000 0.0000 0.0000
```

=====

Record 3
Material: Lu2MnS4
Method: DFT, GGA-PBE
State: relaxed

Cell and atoms, written as POSCAR:
```
Lu2MnS4
1.0
0.0000 5.4579 5.4579
5.4579 0.0000 5.4579
5.4579 5.4579 0.0000
S Lu Mn
8 4 2
Direct
0.3707 0.3707 0.8878
0.3707 0.3707 0.3707
0.8793 0.8793 0.8793
0.8878 0.3707 0.3707
0.3622 0.8793 0.8793
0.8793 0.8793 0.3622
0.8793 0.3622 0.8793
0.3707 0.8878 0.3707
0.1250 0.1250 0.6250
0.6250 0.1250 0.1250
0.1250 0.6250 0.1250
0.1250 0.1250 0.1250
0.5000 0.5000 0.5000
0.7500 0.7500 0.7500
```

=====

Record 4
Material: Lu4MnS7
Method: DFT, GGA-PBE
State: relaxed

Cell and atoms, written as POSCAR:
```
Lu4MnS7
1.0
1.8615 6.1709 0.0000
-1.8615 6.1709 0.0000
0.0000 2.8545 10.9523
Lu S Mn
4 7 1
Direct
0.1146 0.1146 0.5699
0.6930 0.6930 0.2008
0.3062 0.3062 0.8035
0.0000 0.0000 0.0036
0.6599 0.6599 0.9484
0.3399 0.3399 0.0506
0.7437 0.7437 0.6429
0.0353 0.0353 0.2212
0.2631 0.2631 0.3539
0.9623 0.9623 0.7850
0.4959 0.4959 0.4990
0.8859 0.8859 0.4212
```

=====

Record 5
Material: Lu6MnSb2
Method: DFT, GGA-PBE
State: relaxed

Cell and atoms, written as POSCAR:
```
Lu6MnSb2
1.0
-6.9117 2.7849 -2.8772
3.4503 -6.3697 -3.3657
-2.0926 -2.5074 2.6000
Lu Sb Mn
6 2 1
Direct
0.6051 0.0000 0.0000
0.0000 0.2351 0.5000
0.0000 0.6051 0.0000
0.2351 0.0000 0.5000
0.3949 0.3949 0.0000
0.7649 0.7649 0.5000
0.3333 0.6667 0.5000
0.6667 0.3333 0.5000
0.0000 0.0000 0.0000
```

=====

Record 6
Material: LuSc3Mn4Si4
Method: DFT, GGA-PBE
State: relaxed

Cell and atoms, written as POSCAR:
```
LuSc3Mn4Si4
1.0
-0.7834 -3.7784 0.6336
3.4708 -1.6236 -5.3902
6.2146 -0.6054 4.0734
Mn Sc Si Lu
4 3 4 1
Direct
0.5000 0.8564 0.0523
0.0000 0.6415 0.5596
0.5000 0.3589 0.4455
0.0000 0.1357 0.9435
0.5000 0.4807 0.8140
0.5000 0.9839 0.6824
0.0000 0.0208 0.3218
0.5000 0.2150 0.1197
0.0000 0.2802 0.6233
0.0000 0.7792 0.8698
0.5000 0.7266 0.3862
0.0000 0.5210 0.1818
```

=====

no.,ΔH_f (0 K) (eV/atom),E_tot (eV per cell)
1,-0.050,-12.4
2,-0.316,-9.9
3,-1.933,-92.5
4,-2.062,-77.4
5,-0.578,-49.4
6,-0.567,-89.0